Entry 1:
First-principles (GGA+U) data for NaNdNi4O12 after structural relaxation, as listed in the Materials Project database.

Lattice parameters (Å, degrees): 5.366 5.366 7.677 90.00 90.00 90.00
Fractional positions:
1 Na 0.000 0.000 0.000
2 Nd 0.500 0.500 0.500
3 Ni 0.000 0.500 0.245
4 Ni 0.000 0.500 0.755
5 Ni 0.500 0.000 0.245
6 Ni 0.500 0.000 0.755
7 O 0.000 0.500 0.000
8 O 0.000 0.500 0.500
9 O 0.263 0.263 0.264
10 O 0.263 0.263 0.736
11 O 0.263 0.737 0.264
12 O 0.263 0.737 0.736
13 O 0.500 0.000 0.000
14 O 0.500 0.000 0.500
15 O 0.737 0.263 0.264
16 O 0.737 0.263 0.736
17 O 0.737 0.737 0.264
18 O 0.737 0.737 0.736

Calculated values
- Space-group type: No. 123
- Formation energy: -0.8072 eV/atom
- Spin magnetization: 12.287 μB/cell
- Final energy: -84.71 eV for the cell shown

Entry 2:
First-principles (GGA+U) data for KV3O7 after structural relaxation, as listed in the Materials Project database.

Lattice parameters (Å, degrees): 8.455 8.455 12.340 126.70 126.70 25.92
Fractional positions:
1 K 0.168 0.168 0.082
2 K 0.832 0.832 0.918
3 V 0.058 0.058 0.673
4 V 0.208 0.208 0.552
5 V 0.443 0.443 0.730
6 V 0.557 0.557 0.270
7 V 0.792 0.792 0.448
8 V 0.942 0.942 0.327
9 O 0.069 0.069 0.330
10 O 0.102 0.102 0.574
11 O 0.164 0.164 0.833
12 O 0.301 0.301 0.497
13 O 0.315 0.315 0.723
14 O 0.471 0.471 0.101
15 O 0.475 0.475 0.339
16 O 0.525 0.525 0.661
17 O 0.529 0.529 0.899
18 O 0.685 0.685 0.277
19 O 0.699 0.699 0.503
20 O 0.836 0.836 0.167
21 O 0.898 0.898 0.426
22 O 0.931 0.931 0.670

Calculated values
- Space-group type: No. 12
- Formation energy: -2.4418 eV/atom
- Final energy: -159.90 eV for the cell shown

Entry 3:
First-principles (GGA+U) data for VHO3 after structural relaxation, as listed in the Materials Project database.

Lattice parameters (Å, degrees): 5.046 8.697 7.872 90.00 103.97 90.00
Fractional positions:
1 V 0.030 0.000 0.315
2 V 0.031 0.609 0.314
3 V 0.443 0.304 0.578
4 V 0.557 0.804 0.422
5 V 0.969 0.109 0.686
6 V 0.970 0.500 0.685
7 H 0.330 0.298 0.940
8 H 0.402 0.714 0.908
9 H 0.413 0.896 0.922
10 H 0.587 0.396 0.078
11 H 0.598 0.214 0.092
12 H 0.670 0.798 0.060
13 O 0.134 0.304 0.764
14 O 0.136 0.999 0.845
15 O 0.141 0.611 0.842
16 O 0.177 0.144 0.503
17 O 0.177 0.464 0.503
18 O 0.345 0.954 0.267
19 O 0.348 0.656 0.267
20 O 0.380 0.804 0.569
21 O 0.465 0.303 0.064
22 O 0.535 0.803 0.936
23 O 0.620 0.304 0.431
24 O 0.652 0.156 0.733
25 O 0.655 0.454 0.733
26 O 0.823 0.644 0.497
27 O 0.823 0.964 0.497
28 O 0.859 0.111 0.158
29 O 0.864 0.499 0.155
30 O 0.866 0.804 0.236

Calculated values
- Space-group type: No. 4
- Formation energy: -1.9619 eV/atom
- Spin magnetization: 0.003 μB/cell
- Final energy: -200.22 eV for the cell shown